First-principles (PBE-GGA) data for crystalline USe2NO8 at its relaxed geometry, as listed in Materials Project.

The structure in CIF format:
```
data_USe2NO8
_chemical_formula_sum 'U4 Se8 N4 O32'
_cell_length_a 8.8595
_cell_length_b 10.7535
_cell_length_c 12.6564
_cell_angle_alpha 90.00
_cell_angle_beta 128.56
_cell_angle_gamma 90.00
_space_group_name_H-M_alt 'P 1 21/c 1'
_space_group_IT_number 14
loop_
_space_group_symop_operation_xyz
'x,y,z'
'-x,-y,-z'
'-x,y+1/2,-z+1/2'
'x,-y+1/2,z+1/2'
loop_
_atom_site_label
_atom_site_type_symbol
_atom_site_fract_x
_atom_site_fract_y
_atom_site_fract_z
_atom_site_occupancy
U1 U 0.1862 0.2000 0.3111 1
Se1 Se 0.2210 0.5282 0.2080 1
Se2 Se 0.2896 0.6263 0.9053 1
N1 N 0.2708 0.5576 0.5435 1
O1 O 0.0852 0.6873 0.8727 1
O2 O 0.1080 0.5856 0.2665 1
O3 O 0.1727 0.2146 0.9272 1
O4 O 0.1885 0.1065 0.1947 1
O5 O 0.2924 0.0231 0.4565 1
O6 O 0.3101 0.1140 0.7732 1
O7 O 0.3861 0.6221 0.2321 1
O8 O 0.4745 0.7057 0.0447 1
```

Computed properties:
formation enthalpy at 0 K: -1.25 eV/atom
uncorrected energy: -75.65 eV per formula unit
crystal system: monoclinic
spin magnetization: 12.00 Bohr magnetons per cell